! CsLiSO4 (PBE, optimized geometry); values from VASP
! Volume   17.073 Å³/atom
! Final energy   -160.43 eV/cell
! Energy with MP2020 corrections   -0.2250 hartree per atom
! Energy of formation from the pure elements   -16.123 eV per formula unit
! Density   3.28 g cm⁻³
&SYSTEM
  ibrav = 0, nat = 28, ntyp = 4
/
ATOMIC_SPECIES
Cs 132.91 Cs.upf
Li 6.94 Li.upf
S 32.06 S.upf
O 16.00 O.upf
ATOMIC_POSITIONS crystal
Cs 0.042 0.000 0.285
Cs 0.042 0.500 0.785
Cs 0.958 0.000 0.715
Cs 0.958 0.500 0.215
Li 0.340 0.175 0.086
Li 0.340 0.325 0.586
Li 0.660 0.675 0.414
Li 0.660 0.825 0.914
S 0.329 0.700 0.583
S 0.329 0.800 0.083
S 0.671 0.200 0.917
S 0.671 0.300 0.417
O 0.040 0.746 0.473
O 0.040 0.754 0.973
O 0.345 0.538 0.594
O 0.345 0.962 0.094
O 0.394 0.736 0.221
O 0.394 0.764 0.721
O 0.465 0.245 0.458
O 0.465 0.255 0.958
O 0.535 0.745 0.042
O 0.535 0.755 0.542
O 0.606 0.236 0.279
O 0.606 0.264 0.779
O 0.655 0.038 0.906
O 0.655 0.462 0.406
O 0.960 0.246 0.027
O 0.960 0.254 0.527
CELL_PARAMETERS angstrom
5.499 0.000 0.000
0.000 9.160 0.000
-5.456 0.000 9.491